No. 1
Li3PrSb2 | r²SCAN | optimized geometry

Computed properties:
* energy of formation: -6.01 eV per formula unit
* space group: P-3m1, No. 164

Cell lengths 4.6089, 4.6089, 7.3920 Å; angles 90.00, 90.00, 120.00 degrees
Fractional positions:
Li 0.6667 0.3333 0.3540
Li 0.3333 0.6667 0.6460
Li 0.0000 0.0000 0.5000
Pr 0.0000 0.0000 0.0000
Sb 0.6667 0.3333 0.7428
Sb 0.3333 0.6667 0.2572


No. 2
Tm5BiPt2 | r²SCAN | optimized geometry

Computed properties:
* energy of formation: -8.47 eV per formula unit
* space group: I4/mcm, No. 140

Cell lengths 8.6958, 8.6958, 8.6958 Å; angles 127.83, 127.83, 76.91 degrees
Fractional positions:
Tm 0.0000 0.0000 0.0000
Tm 0.5000 0.5000 0.0000
Tm 0.7909 0.2909 0.8100
Tm 0.2091 0.7091 0.1900
Tm 0.4810 0.9810 0.1900
Tm 0.2909 0.4810 0.5000
Tm 0.0190 0.2091 0.5000
Tm 0.5190 0.0190 0.8100
Tm 0.7091 0.5190 0.5000
Tm 0.9810 0.7909 0.5000
Bi 0.2500 0.2500 0.0000
Bi 0.7500 0.7500 0.0000
Pt 0.1407 0.6407 0.7814
Pt 0.8593 0.3593 0.2186
Pt 0.6407 0.8593 0.5000
Pt 0.3593 0.1407 0.5000


No. 3
Zn | r²SCAN | optimized geometry

Computed properties:
* energy of formation: 0.01 eV per formula unit
* space group: C2/m, No. 12

Cell lengths 2.6185, 2.6185, 7.4719 Å; angles 79.37, 100.63, 120.04 degrees
Fractional positions:
Zn 0.0000 0.0000 0.0000
Zn 0.7780 0.2220 0.3345
Zn 0.2220 0.7780 0.6655


> Which formula does entry 2 have?

Tm5BiPt2